(1)
## Mg3Si4 (PBE)

Data for a relaxed Mg3Si4 crystal.

Structure (POSCAR):
```
Mg3Si4
1.0
3.9496 0.0000 0.0000
-0.0230 8.3670 0.0000
-1.7738 -3.6825 8.1858
Mg Si
6 8
direct
0.0000 0.0000 0.0000 Mg
0.0265 0.6849 0.0785 Mg
0.1748 0.6251 0.4005 Mg
0.2024 0.0760 0.4404 Mg
0.6460 0.3106 0.3110 Mg
0.8614 0.3541 0.7431 Mg
0.0258 0.3540 0.0696 Si
0.2729 0.4256 0.5627 Si
0.3802 0.8929 0.7514 Si
0.4108 0.6525 0.8357 Si
0.4485 0.2131 0.9059 Si
0.5860 0.9595 0.1857 Si
0.6516 0.8042 0.3488 Si
0.8300 0.9740 0.6419 Si
```

Properties
For the calculated total energy, the calculation gives -3.684 eV per atom. Its energy above the most stable polymorph in this dataset is 49 meV/atom. Its total moment is 0.00 μB per cell. As for the calculated volume: 271 Å³/cell.



(2)
## Mg5Si6 (PBE)

Data for a relaxed Mg5Si6 crystal.

Structure (POSCAR):
```
Mg5Si6
1.0
4.0207 0.0000 0.0000
0.0216 6.7330 0.0000
1.8384 2.5854 15.0296
Mg Si
10 12
direct
0.0000 0.0000 0.0000 Mg
0.0332 0.5646 0.9317 Mg
0.1803 0.5586 0.6297 Mg
0.2466 0.2034 0.5013 Mg
0.2880 0.7257 0.4159 Mg
0.4590 0.6674 0.0849 Mg
0.6151 0.6388 0.7694 Mg
0.7109 0.8733 0.5653 Mg
0.8872 0.7990 0.2336 Mg
0.9256 0.3256 0.1529 Mg
0.1032 0.2946 0.7845 Si
0.1477 0.9846 0.6884 Si
0.3564 0.1109 0.2827 Si
0.3664 0.4824 0.2701 Si
0.4382 0.0294 0.1355 Si
0.4997 0.3120 0.0175 Si
0.5394 0.8391 0.9089 Si
0.5644 0.1992 0.8720 Si
0.6586 0.2150 0.6507 Si
0.7323 0.4866 0.5195 Si
0.8081 0.0436 0.3817 Si
0.8169 0.4159 0.3694 Si
```

Properties
For the calculated total energy, the calculation gives -3.602 eV per atom. Its energy above the most stable polymorph in this dataset is 58 meV/atom. Its total moment is 0.00 μB per cell. As for the calculated volume: 407 Å³/cell.



(3)
## Mg2Si3 (PBE)

Data for a relaxed Mg2Si3 crystal.

Structure (POSCAR):
```
Mg2Si3
1.0
3.6193 0.0000 0.0000
-1.7889 5.6132 0.0000
-1.6075 -1.8063 18.0598
Mg Si
8 12
direct
0.0000 0.0000 0.0000 Mg
0.0110 0.5672 0.4792 Mg
0.2673 0.5799 0.9241 Mg
0.3375 0.9801 0.7289 Mg
0.5783 0.8049 0.3474 Mg
0.7406 0.4321 0.0497 Mg
0.9425 0.6491 0.2052 Mg
0.9774 0.3150 0.6293 Mg
0.0232 0.3457 0.7837 Si
0.1793 0.1775 0.1451 Si
0.2829 0.9565 0.5770 Si
0.3328 0.2514 0.4017 Si
0.4498 0.8162 0.0942 Si
0.5530 0.1579 0.8869 Si
0.6379 0.5924 0.7461 Si
0.6684 0.0814 0.2254 Si
0.6692 0.7024 0.6195 Si
0.7894 0.0440 0.4851 Si
0.8753 0.3973 0.3283 Si
0.8969 0.8806 0.8555 Si
```

Properties
For the calculated total energy, the calculation gives -3.763 eV per atom. Its energy above the most stable polymorph in this dataset is 96 meV/atom. Its total moment is 0.00 μB per cell. As for the calculated volume: 367 Å³/cell.



(4)
## Mg3Si4 (PBE)

Data for a relaxed Mg3Si4 crystal.

Structure (POSCAR):
```
Mg3Si4
1.0
5.9740 0.0000 0.0000
-0.1787 6.5398 0.0000
-2.2119 -2.6114 6.7237
Mg Si
6 8
direct
0.0000 0.0000 0.0000 Mg
0.0285 0.8438 0.5177 Mg
0.1767 0.4126 0.8697 Mg
0.2489 0.2408 0.4580 Mg
0.5975 0.4356 0.2639 Mg
0.7015 0.4106 0.8978 Mg
0.0877 0.4692 0.2162 Si
0.3004 0.8111 0.2608 Si
0.3978 0.6509 0.7258 Si
0.4167 0.0583 0.8727 Si
0.5869 0.8423 0.0908 Si
0.5944 0.9544 0.5984 Si
0.7826 0.6304 0.6703 Si
0.7929 0.2202 0.5210 Si
```

Properties
For the calculated total energy, the calculation gives -3.667 eV per atom. Its energy above the most stable polymorph in this dataset is 66 meV/atom. Its total moment is 0.00 μB per cell. As for the calculated volume: 263 Å³/cell.



(5)
## Mg4Si7 (PBE)

Data for a relaxed Mg4Si7 crystal.

Structure (POSCAR):
```
Mg4Si7
1.0
7.0905 0.0000 0.0000
0.0000 3.9463 0.0000
-2.9759 0.0000 14.4401
Mg Si
8 14
direct
0.0000 0.0000 0.0000 Mg
0.0196 0.0000 0.3315 Mg
0.2575 0.0000 0.5596 Mg
0.3304 0.5000 0.7482 Mg
0.3707 0.5000 0.4150 Mg
0.4568 0.0000 0.2472 Mg
0.7064 0.0000 0.4781 Mg
0.9433 0.5000 0.8324 Mg
0.0077 0.5000 0.4591 Si
0.0143 0.0000 0.7005 Si
0.1670 0.5000 0.2390 Si
0.2234 0.0000 0.8674 Si
0.2574 0.5000 0.0944 Si
0.4055 0.0000 0.0423 Si
0.5624 0.0000 0.8595 Si
0.5677 0.5000 0.6053 Si
0.6494 0.0000 0.7086 Si
0.6930 0.5000 0.9514 Si
0.7078 0.5000 0.3431 Si
0.7389 0.0000 0.1028 Si
0.8169 0.5000 0.1989 Si
0.9194 0.5000 0.6049 Si
```

Properties
For the calculated total energy, the calculation gives -3.923 eV per atom. Its energy above the most stable polymorph in this dataset is 10 meV/atom. Its total moment is 0.00 μB per cell. As for the calculated volume: 404 Å³/cell.



(6)
## Mg5Si6 (PBE)

Data for a relaxed Mg5Si6 crystal.

Structure (POSCAR):
```
Mg5Si6
1.0
4.7370 0.0000 0.0000
2.2238 5.2080 0.0000
2.2045 0.0709 16.5039
Mg Si
10 12
direct
0.0000 0.0000 0.0000 Mg
0.0052 0.8382 0.1815 Mg
0.1646 0.1882 0.6942 Mg
0.2901 0.2557 0.1961 Mg
0.3216 0.0056 0.5061 Mg
0.4446 0.4565 0.9868 Mg
0.5070 0.7984 0.3279 Mg
0.6404 0.4099 0.4632 Mg
0.8450 0.7863 0.7297 Mg
0.9923 0.4332 0.8707 Mg
0.2310 0.3046 0.3634 Si
0.2560 0.8793 0.8451 Si
0.4700 0.5828 0.6232 Si
0.4958 0.9190 0.0748 Si
0.5042 0.4639 0.7746 Si
0.6448 0.0663 0.8697 Si
0.6498 0.5225 0.1940 Si
0.7430 0.1153 0.6031 Si
0.8109 0.1745 0.3127 Si
0.9031 0.5009 0.0563 Si
0.9597 0.6633 0.5641 Si
0.9938 0.7363 0.4163 Si
```

Properties
For the calculated total energy, the calculation gives -3.579 eV per atom. Its energy above the most stable polymorph in this dataset is 81 meV/atom. Its total moment is 0.00 μB per cell. As for the calculated volume: 407 Å³/cell.



(7)
## Mg4Si3 (PBE)

Data for a relaxed Mg4Si3 crystal.

Structure (POSCAR):
```
Mg4Si3
1.0
4.7926 0.0000 0.0000
0.8723 7.2875 0.0000
1.2151 0.1169 7.4545
Mg Si
8 6
direct
0.0397 0.3141 0.0922 Mg
0.1139 0.3736 0.6535 Mg
0.2765 0.0801 0.3855 Mg
0.3958 0.8043 0.0956 Mg
0.6042 0.1957 0.9044 Mg
0.7235 0.9199 0.6145 Mg
0.8861 0.6264 0.3465 Mg
0.9603 0.6859 0.9078 Mg
0.1476 0.0242 0.8147 Si
0.3051 0.7216 0.5262 Si
0.4737 0.4437 0.2328 Si
0.5263 0.5563 0.7672 Si
0.6949 0.2784 0.4738 Si
0.8524 0.9758 0.1853 Si
```

Properties
For the calculated total energy, the calculation gives -3.161 eV per atom. Its energy above the most stable polymorph in this dataset is 106 meV/atom. Its total moment is 0.01 μB per cell. As for the calculated volume: 260 Å³/cell.



(8)
## Mg4Si3 (PBE)

Data for a relaxed Mg4Si3 crystal.

Structure (POSCAR):
```
Mg4Si3
1.0
5.8553 0.0000 0.0000
-0.0327 7.3520 0.0000
-2.9206 -3.4259 6.1499
Mg Si
8 6
direct
0.0000 0.0000 0.0000 Mg
0.0224 0.9116 0.5489 Mg
0.1153 0.5400 0.7364 Mg
0.1424 0.4632 0.3138 Mg
0.4673 0.2997 0.9643 Mg
0.5356 0.9281 0.5793 Mg
0.6299 0.5476 0.7646 Mg
0.6758 0.1623 0.3501 Mg
0.1106 0.7315 0.1574 Si
0.2262 0.1748 0.4565 Si
0.4446 0.9031 0.8977 Si
0.5367 0.7318 0.1583 Si
0.6979 0.5593 0.4172 Si
0.9295 0.2890 0.8588 Si
```

Properties
For the calculated total energy, the calculation gives -3.217 eV per atom. Its energy above the most stable polymorph in this dataset is 50 meV/atom. Its total moment is 0.00 μB per cell. As for the calculated volume: 265 Å³/cell.



(9)
## Mg2Si3 (PBE)

Data for a relaxed Mg2Si3 crystal.

Structure (POSCAR):
```
Mg2Si3
1.0
3.5298 0.0000 0.0000
-1.7413 5.8261 0.0000
-1.7640 -1.5451 17.7998
Mg Si
8 12
direct
0.0000 0.0000 0.0000 Mg
0.0077 0.2719 0.7540 Mg
0.1061 0.8704 0.3554 Mg
0.3474 0.1973 0.4975 Mg
0.3581 0.4860 0.2514 Mg
0.3902 0.6989 0.0968 Mg
0.7540 0.6740 0.8463 Mg
0.7736 0.9519 0.6064 Mg
0.0139 0.8344 0.2075 Si
0.0178 0.4444 0.6020 Si
0.1039 0.7081 0.5023 Si
0.1183 0.3528 0.9054 Si
0.3037 0.8862 0.7313 Si
0.4503 0.0550 0.8640 Si
0.4809 0.5539 0.4104 Si
0.6344 0.5822 0.6923 Si
0.6581 0.1029 0.2324 Si
0.6691 0.2489 0.1004 Si
0.7393 0.4988 0.9930 Si
0.8143 0.2677 0.3659 Si
```

Properties
For the calculated total energy, the calculation gives -3.771 eV per atom. Its energy above the most stable polymorph in this dataset is 88 meV/atom. Its total moment is 0.00 μB per cell. As for the calculated volume: 366 Å³/cell.